Entry 1:
Cu6OF11 PBE relaxed; formation energy from the elements = -1.7014 eV per atom; space-group type = No. 1
1.0
-0.032 -3.060 -1.171
12.165 2.400 -6.070
2.078 -2.015 3.668
O F Cu
1 11 6
Cartesian
4.284 -0.913 1.117
11.755 0.205 -5.527
12.435 0.667 -2.908
6.484 -2.011 -0.069
3.628 -1.449 -1.505
7.680 -0.596 -3.507
10.570 -1.284 -2.091
9.917 -1.749 -4.701
5.763 -2.502 -2.708
1.846 -3.326 -0.618
2.489 -2.859 1.988
8.322 -0.134 -0.908
11.175 -0.540 -3.808
0.006 -3.071 -1.151
10.179 -0.412 -0.385
7.066 -1.338 -1.809
3.249 -2.237 0.277
6.033 -1.200 1.614

Entry 2:
Cu3OF5 PBE relaxed; formation energy from the elements = -1.5951 eV per atom; spin magnetization = 0.5 μB/f.u.; space-group type = No. 1
1.0
5.868 0.044 -4.691
-0.070 4.592 -0.135
3.753 -0.195 4.567
F Cu O
10 6 2
Cartesian
3.214 1.303 1.298
4.522 0.912 -1.029
7.721 0.801 -1.059
1.791 3.612 0.793
8.232 3.474 0.720
1.339 0.927 -1.021
4.997 3.546 0.774
3.109 3.215 -1.509
5.977 1.318 -3.411
6.445 1.223 1.249
3.186 -0.027 -0.036
5.005 2.198 2.226
4.655 2.348 -2.369
7.757 2.377 -2.335
3.692 4.315 4.355
6.328 4.432 -0.262
3.577 3.046 3.057
6.255 3.152 -1.562

Entry 3:
Cu2OF2 PBE relaxed; formation energy from the elements = -1.4217 eV per atom; spin magnetization = 1.0 μB/f.u.; space-group type = No. 1
1.0
-0.994 1.704 -5.351
4.065 -4.477 -0.093
-2.237 -4.402 -2.951
F Cu O
4 4 2
Cartesian
1.405 -3.561 -5.884
0.177 -0.599 -3.749
-0.554 -3.614 -2.522
0.683 -6.564 -4.634
0.428 -3.581 -4.201
-2.722 -3.543 -5.623
-1.602 -1.339 -4.152
0.923 -4.433 -1.526
1.866 -4.333 -3.186
-1.007 -2.821 -5.213

Entry 4:
Cu6OF11 PBE relaxed; formation energy from the elements = -1.7013 eV per atom; spin magnetization = 5.0 μB/f.u.; space-group type = No. 1
1.0
-4.156 -2.051 0.302
2.110 -3.951 3.078
-1.770 4.083 7.191
F Cu O
11 6 1
Cartesian
-1.808 -3.137 5.966
0.748 -3.206 4.789
-4.527 1.260 5.801
-2.643 -1.884 1.491
-1.985 -4.072 3.070
-1.984 1.300 4.670
-1.848 2.174 7.535
-0.707 -1.481 3.213
-1.168 -0.062 9.066
-0.526 -0.485 6.148
-3.253 -1.408 4.396
-2.296 -0.315 3.079
-3.331 -3.330 4.729
2.094 -3.949 3.085
-2.857 0.963 8.751
-1.585 -1.548 7.486
-4.575 -0.627 6.200
-3.112 -0.468 7.350

Entry 5:
Cu3OF5 PBE relaxed; formation energy from the elements = -1.5934 eV per atom; spin magnetization = 0.1 μB/f.u.; space-group type = No. 2
1.0
2.095 -2.537 -6.801
3.972 -1.433 1.837
-2.194 -5.417 1.197
Cu F O
6 10 2
Cartesian
3.776 -4.194 -0.047
0.064 -7.845 -5.587
-0.066 -5.303 -3.736
2.849 -5.955 -5.241
3.017 -3.311 -3.416
0.990 -6.084 -0.394
2.636 -8.440 -2.641
0.446 -3.751 -0.311
3.399 -2.980 -1.559
2.634 -3.088 1.133
2.635 -3.642 -5.273
3.305 -5.613 -3.402
1.204 -3.599 -2.994
1.305 -0.996 -1.164
0.535 -6.426 -2.233
1.299 -5.750 1.477
2.764 -5.752 -0.780
1.076 -6.287 -4.855

Entry 6:
Cu6OF11 PBE relaxed; formation energy from the elements = -1.7014 eV per atom; space-group type = No. 1
1.0
1.437 -2.960 0.187
-2.978 -2.517 -9.400
6.218 2.286 -0.356
F Cu O
11 6 1
Cartesian
3.198 -2.138 0.063
0.730 -2.099 -5.018
3.296 -3.092 -6.314
4.455 1.469 -0.258
3.954 -1.103 -4.539
3.892 -1.425 -8.364
-1.683 -1.707 -6.280
0.881 -2.699 -7.660
6.368 -1.469 -3.281
0.787 -1.768 -1.189
1.376 -0.130 -3.251
1.523 -3.878 -6.234
4.567 -2.199 -2.987
-1.541 -5.474 -9.210
0.763 -1.943 -3.103
3.823 -0.339 -0.193
3.916 -1.255 -6.439
3.813 -0.540 -2.005

Number 1: total energy after the MP2020 corrections -4.5127 eV/atom, relative energy among the computed polymorphs 0.002 eV per atom. Number 2: total energy after the MP2020 corrections -4.5749 eV/atom, relative energy among the computed polymorphs 0.018 eV per atom. Number 3: total energy after the MP2020 corrections -4.8168 eV/atom, relative energy among the computed polymorphs 0.012 eV per atom. Number 4: total energy after the MP2020 corrections -4.5126 eV/atom, relative energy among the computed polymorphs 0.002 eV per atom. Number 5: total energy after the MP2020 corrections -4.5732 eV/atom, relative energy among the computed polymorphs 0.019 eV per atom. Number 6: total energy after the MP2020 corrections -4.5127 eV/atom, relative energy among the computed polymorphs 0.002 eV per atom.